Record 1
# KNa4Cl5

An optimized crystal structure of KNa4Cl5 (meta-GGA r2SCAN, Materials Project).

Formation energy from the elements   -47.1 kcal/mol of atoms
Crystal system   orthorhombic
Energy relative to the lowest polymorph listed for this composition   0.011 eV per atom

Lattice parameters (Å, degrees): 4.0267 5.8117 20.3713 90.00 90.00 90.00
Space group Immm (No. 71)
One atom of each set of equivalent atoms:
K: 0.0000 0.0000 0.0000 [2 per cell]
Na: 0.0000 0.0000 0.2047 [4 per cell]
Na: 0.0000 0.0000 0.3966 [4 per cell]
Cl: 0.0000 0.5000 0.0000 [2 per cell]
Cl: 0.0000 0.5000 0.1991 [4 per cell]
Cl: 0.0000 0.5000 0.3880 [4 per cell]


Record 2
# KNa4Cl5

An optimized crystal structure of KNa4Cl5 (meta-GGA r2SCAN, Materials Project).

Formation energy from the elements   -46.8 kcal/mol of atoms
Crystal system   tetragonal
Energy relative to the lowest polymorph listed for this composition   0.021 eV per atom

Lattice parameters (Å, degrees): 4.0998 4.0998 28.6299 90.00 90.00 90.00
Space group I4/mmm (No. 139)
One atom of each set of equivalent atoms:
K: 0.0000 0.0000 0.0000 [2 per cell]
Na: 0.0000 0.0000 0.2024 [4 per cell]
Na: 0.0000 0.0000 0.3963 [4 per cell]
Cl: 0.0000 0.0000 0.1062 [4 per cell]
Cl: 0.0000 0.0000 0.2987 [4 per cell]
Cl: 0.0000 0.0000 0.5000 [2 per cell]


Record 3
# K2NaCl3

An optimized crystal structure of K2NaCl3 (meta-GGA r2SCAN, Materials Project).

Formation energy from the elements   -48.7 kcal/mol of atoms
Crystal system   trigonal

Lattice parameters (Å, degrees): 4.2740 4.2740 10.5707 90.00 90.00 120.00
Space group P-3m1 (No. 164)
One atom of each set of equivalent atoms:
K: 0.3333 0.6667 0.1790 [2 per cell]
Na: 0.0000 0.0000 0.5000 [1 per cell]
Cl: 0.0000 0.0000 0.0000 [1 per cell]
Cl: 0.3333 0.6667 0.6430 [2 per cell]


Record 4
# K4NaCl5

An optimized crystal structure of K4NaCl5 (meta-GGA r2SCAN, Materials Project).

Formation energy from the elements   -49.1 kcal/mol of atoms
Crystal system   trigonal
Energy relative to the lowest polymorph listed for this composition   0.000 eV per atom

Lattice parameters (Å, degrees): 4.3387 4.3387 53.7000 90.00 90.00 120.00
Space group R-3m (No. 166, hexagonal axes)
One atom of each set of equivalent atoms:
K: 0.0000 0.0000 0.1039 [6 per cell]
K: 0.0000 0.0000 0.2988 [6 per cell]
Na: 0.0000 0.0000 0.5000 [3 per cell]
Cl: 0.0000 0.0000 0.0000 [3 per cell]
Cl: 0.0000 0.0000 0.1945 [6 per cell]
Cl: 0.0000 0.0000 0.4025 [6 per cell]


Record 5
# K4NaCl5

An optimized crystal structure of K4NaCl5 (meta-GGA r2SCAN, Materials Project).

Formation energy from the elements   -48.9 kcal/mol of atoms
Crystal system   tetragonal
Energy relative to the lowest polymorph listed for this composition   0.010 eV per atom

Lattice parameters (Å, degrees): 4.3868 4.3868 30.7644 90.00 90.00 90.00
Space group I4/mmm (No. 139)
One atom of each set of equivalent atoms:
K: 0.0000 0.0000 0.0974 [4 per cell]
K: 0.0000 0.0000 0.3019 [4 per cell]
Na: 0.0000 0.0000 0.5000 [2 per cell]
Cl: 0.0000 0.0000 0.0000 [2 per cell]
Cl: 0.0000 0.0000 0.1995 [4 per cell]
Cl: 0.0000 0.0000 0.4063 [4 per cell]


Record 6
# K4NaCl5

An optimized crystal structure of K4NaCl5 (meta-GGA r2SCAN, Materials Project).

Formation energy from the elements   -49.0 kcal/mol of atoms
Crystal system   tetragonal
Energy relative to the lowest polymorph listed for this composition   0.005 eV per atom

Lattice parameters (Å, degrees): 9.7426 9.7426 6.2110 90.00 90.00 90.00
Space group I4/m (No. 87)
One atom of each set of equivalent atoms:
K: 0.0969 0.2988 0.0000 [8 per cell]
Na: 0.0000 0.0000 0.5000 [2 per cell]
Cl: 0.0000 0.0000 0.0000 [2 per cell]
Cl: 0.0929 0.2838 0.5000 [8 per cell]


Record 7
# KNa4Cl5

An optimized crystal structure of KNa4Cl5 (meta-GGA r2SCAN, Materials Project).

Formation energy from the elements   -47.3 kcal/mol of atoms
Crystal system   trigonal
Energy relative to the lowest polymorph listed for this composition   0.000 eV per atom

Lattice parameters (Å, degrees): 4.0347 4.0347 49.9984 90.00 90.00 120.00
Space group R-3m (No. 166, hexagonal axes)
One atom of each set of equivalent atoms:
K: 0.0000 0.0000 0.0000 [3 per cell]
Na: 0.0000 0.0000 0.1987 [6 per cell]
Na: 0.0000 0.0000 0.4046 [6 per cell]
Cl: 0.0000 0.0000 0.1029 [6 per cell]
Cl: 0.0000 0.0000 0.2936 [6 per cell]
Cl: 0.0000 0.0000 0.5000 [3 per cell]


Record 8
# K4NaCl5

An optimized crystal structure of K4NaCl5 (meta-GGA r2SCAN, Materials Project).

Formation energy from the elements   -49.0 kcal/mol of atoms
Crystal system   orthorhombic
Energy relative to the lowest polymorph listed for this composition   0.005 eV per atom

Lattice parameters (Å, degrees): 4.3338 6.2056 21.8697 90.00 90.00 90.00
Space group Immm (No. 71)
One atom of each set of equivalent atoms:
K: 0.0000 0.0000 0.0982 [4 per cell]
K: 0.0000 0.0000 0.3051 [4 per cell]
Na: 0.0000 0.0000 0.5000 [2 per cell]
Cl: 0.0000 0.5000 0.0889 [4 per cell]
Cl: 0.0000 0.5000 0.2984 [4 per cell]
Cl: 0.0000 0.5000 0.5000 [2 per cell]


Record 9
# K2NaS2ClO6

An optimized crystal structure of K2NaS2ClO6 (meta-GGA r2SCAN, Materials Project).

Formation energy from the elements   -42.5 kcal/mol of atoms
Crystal system   tetragonal

Lattice parameters (Å, degrees): 12.0568 12.0568 5.5012 90.00 90.00 90.00
Space group P4/n (No. 85, origin choice 2)
One atom of each set of equivalent atoms:
K: 0.0011 0.1936 0.0203 [8 per cell]
Na: 0.2500 0.2500 0.4371 [2 per cell]
Na: 0.2500 0.7500 0.5000 [2 per cell]
S: 0.0093 0.5876 0.4719 [8 per cell]
Cl: 0.2500 0.2500 0.9304 [2 per cell]
Cl: 0.2500 0.7500 0.0000 [2 per cell]
O: 0.0026 0.3987 0.7894 [8 per cell]
O: 0.0787 0.3610 0.3858 [8 per cell]
O: 0.1096 0.8796 0.4376 [8 per cell]


Record 10
# KNb2Cl11

An optimized crystal structure of KNb2Cl11 (meta-GGA r2SCAN, Materials Project).

Formation energy from the elements   -34.8 kcal/mol of atoms
Crystal system   triclinic

Lattice parameters (Å, degrees): 6.9197 6.9867 17.2916 79.38 79.29 87.56
Space group P-1 (No. 2)
One atom of each set of equivalent atoms:
K: 0.2474 0.2486 0.0041 [2 per cell]
Nb: 0.1764 0.6781 0.1591 [2 per cell]
Nb: 0.3276 0.8262 0.5891 [2 per cell]
Cl: 0.0172 0.8776 0.6538 [2 per cell]
Cl: 0.0403 0.0490 0.8566 [2 per cell]
Cl: 0.0813 0.5264 0.8485 [2 per cell]
Cl: 0.1139 0.6414 0.2958 [2 per cell]
Cl: 0.2185 0.7143 0.4861 [2 per cell]
Cl: 0.2479 0.7234 0.0092 [2 per cell]
Cl: 0.3271 0.1653 0.5004 [2 per cell]
Cl: 0.3981 0.4121 0.1582 [2 per cell]
Cl: 0.3986 0.5217 0.6511 [2 per cell]
Cl: 0.4423 0.8967 0.1424 [2 per cell]
Cl: 0.4748 0.9804 0.6713 [2 per cell]


Record 11
# KNbCl6

An optimized crystal structure of KNbCl6 (meta-GGA r2SCAN, Materials Project).

Formation energy from the elements   -36.9 kcal/mol of atoms
Crystal system   trigonal

Lattice parameters (Å, degrees): 7.0368 7.0368 17.2343 90.00 90.00 120.00
Space group R3m (No. 160, hexagonal axes)
One atom of each set of equivalent atoms:
K: 0.0000 0.0000 0.0000 [3 per cell]
Nb: 0.0000 0.0000 0.2515 [3 per cell]
Cl: 0.0146 0.5073 0.9977 [9 per cell]
Cl: 0.1743 0.3487 0.8384 [9 per cell]


Record 12
# KNbCl6

An optimized crystal structure of KNbCl6 (meta-GGA r2SCAN, Materials Project).

Formation energy from the elements   -36.9 kcal/mol of atoms
Crystal system   triclinic

Lattice parameters (Å, degrees): 7.0321 7.0370 9.9668 89.99 89.96 90.00
Space group P1 (No. 1)
One atom of each set of equivalent atoms:
K: 0.0000 0.0000 0.0000 [1 per cell]
K: 0.5004 0.4867 0.5001 [1 per cell]
Nb: 0.0001 0.4970 0.2509 [1 per cell]
Nb: 0.5003 0.9906 0.7509 [1 per cell]
Cl: 0.0004 0.4950 0.4893 [1 per cell]
Cl: 0.9996 0.4980 0.0126 [1 per cell]
Cl: 0.2384 0.2571 0.2500 [1 per cell]
Cl: 0.2395 0.7346 0.2517 [1 per cell]
Cl: 0.2611 0.7529 0.7524 [1 per cell]
Cl: 0.2617 0.2301 0.7505 [1 per cell]
Cl: 0.4997 0.9894 0.5124 [1 per cell]
Cl: 0.5007 0.9930 0.9895 [1 per cell]
Cl: 0.7389 0.2301 0.7498 [1 per cell]
Cl: 0.7394 0.7527 0.7518 [1 per cell]
Cl: 0.7611 0.2577 0.2506 [1 per cell]
Cl: 0.7610 0.7351 0.2523 [1 per cell]


Record 13
# K2Nb3Cl9

An optimized crystal structure of K2Nb3Cl9 (meta-GGA r2SCAN, Materials Project).

Formation energy from the elements   -38.5 kcal/mol of atoms
Crystal system   monoclinic

Lattice parameters (Å, degrees): 10.1285 16.7266 9.6313 90.00 115.25 90.00
Space group C2/m (No. 12)
One atom of each set of equivalent atoms:
K: 0.1084 0.1607 0.3263 [8 per cell]
Nb: 0.1218 0.5000 0.8717 [4 per cell]
Nb: 0.1349 0.4124 0.1422 [8 per cell]
Cl: 0.0000 0.2921 0.0000 [4 per cell]
Cl: 0.0167 0.3963 0.3179 [8 per cell]
Cl: 0.1783 0.0000 0.6652 [4 per cell]
Cl: 0.1933 0.1983 0.6744 [8 per cell]
Cl: 0.1972 0.1047 0.9833 [8 per cell]
Cl: 0.2258 0.0000 0.2862 [4 per cell]


Record 14
# KNb8Cl20

An optimized crystal structure of KNb8Cl20 (meta-GGA r2SCAN, Materials Project).

Formation energy from the elements   -34.3 kcal/mol of atoms
Crystal system   monoclinic

Lattice parameters (Å, degrees): 9.4321 18.0577 13.5368 90.00 90.04 90.00
Space group Pm (No. 6)
One atom of each set of equivalent atoms:
K: 0.0000 0.0000 0.0000 [1 per cell]
K: 0.9996 0.0000 0.4923 [1 per cell]
K: 0.3541 0.5000 0.0008 [1 per cell]
Nb: 0.0307 0.2794 0.1377 [2 per cell]
Nb: 0.0309 0.2801 0.3552 [2 per cell]
Nb: 0.0598 0.5000 0.7453 [1 per cell]
Nb: 0.0981 0.1446 0.2466 [2 per cell]
Nb: 0.2564 0.3575 0.2470 [2 per cell]
Nb: 0.2961 0.0000 0.7463 [1 per cell]
Nb: 0.3230 0.2214 0.1377 [2 per cell]
Nb: 0.3239 0.2219 0.3555 [2 per cell]
Nb: 0.5108 0.0819 0.6371 [2 per cell]
Nb: 0.5108 0.0819 0.8556 [2 per cell]
Nb: 0.6223 0.5000 0.7448 [1 per cell]
Nb: 0.7271 0.0000 0.7464 [1 per cell]
Nb: 0.8419 0.4174 0.6355 [2 per cell]
Nb: 0.8420 0.4177 0.8558 [2 per cell]
Cl: 0.0106 0.0000 0.7463 [1 per cell]
Cl: 0.0973 0.4102 0.1211 [2 per cell]
Cl: 0.0995 0.4100 0.3720 [2 per cell]
Cl: 0.1002 0.4049 0.6209 [2 per cell]
Cl: 0.1007 0.4045 0.8716 [2 per cell]
Cl: 0.1764 0.2502 0.9923 [2 per cell]
Cl: 0.1767 0.2503 0.5002 [2 per cell]
Cl: 0.2510 0.0957 0.6209 [2 per cell]
Cl: 0.2510 0.0957 0.8716 [2 per cell]
Cl: 0.2552 0.0903 0.1213 [2 per cell]
Cl: 0.2558 0.0904 0.3715 [2 per cell]
Cl: 0.3417 0.5000 0.7532 [1 per cell]
Cl: 0.3590 0.5000 0.2407 [1 per cell]
Cl: 0.4416 0.3431 0.3737 [2 per cell]
Cl: 0.4426 0.3433 0.1184 [2 per cell]
Cl: 0.5091 0.1913 0.7464 [2 per cell]
Cl: 0.5103 0.1853 0.4964 [2 per cell]
Cl: 0.5095 0.1852 0.9967 [2 per cell]
Cl: 0.5187 0.1816 0.2463 [2 per cell]
Cl: 0.5201 0.0000 0.0013 [1 per cell]
Cl: 0.5201 0.0000 0.4915 [1 per cell]
Cl: 0.5826 0.4025 0.8722 [2 per cell]
Cl: 0.5832 0.4037 0.6193 [2 per cell]
Cl: 0.7711 0.0975 0.6198 [2 per cell]
Cl: 0.7711 0.0975 0.8731 [2 per cell]
Cl: 0.8327 0.5000 0.0005 [1 per cell]
Cl: 0.8347 0.3189 0.2461 [2 per cell]
Cl: 0.8349 0.5000 0.4920 [1 per cell]
Cl: 0.8430 0.3090 0.7461 [2 per cell]
Cl: 0.8428 0.3149 0.4958 [2 per cell]
Cl: 0.8429 0.3151 0.9962 [2 per cell]
Cl: 0.9109 0.1572 0.1186 [2 per cell]
Cl: 0.9110 0.1575 0.3741 [2 per cell]
Cl: 0.9938 0.0000 0.2466 [1 per cell]


Record 15
# K2NbCl6

An optimized crystal structure of K2NbCl6 (meta-GGA r2SCAN, Materials Project).

Formation energy from the elements   -41.5 kcal/mol of atoms
Crystal system   orthorhombic

Lattice parameters (Å, degrees): 6.8477 6.9399 10.4805 90.00 90.00 90.00
Space group Pnnm (No. 58)
One atom of each set of equivalent atoms:
K: 0.0000 0.0000 0.2499 [4 per cell]
Nb: 0.0000 0.5000 0.0000 [2 per cell]
Cl: 0.0000 0.5000 0.2349 [4 per cell]
Cl: 0.1945 0.2087 0.0000 [4 per cell]
Cl: 0.2086 0.1974 0.5000 [4 per cell]